No. 1
VASP calculation (PBE-GGA) on ThGaRh after structural relaxation.

Unit cell a=7.3378 b=7.3378 c=4.0189 alpha=90.00 beta=90.00 gamma=120.00
Space group P-62m (No. 189)
One atom of each set of equivalent atoms:
1 Th 0.0000 0.4098 0.0000 (multiplicity 3)
2 Ga 0.0000 0.7566 0.5000 (multiplicity 3)
3 Rh 0.0000 0.0000 0.0000 (multiplicity 1)
4 Rh 0.3333 0.6667 0.5000 (multiplicity 2)

Output
Its calculated volume is 187.4 Å³/cell. The calculation puts the calculated total energy at -20.534 eV/f.u. The calculation puts the energy relative to the elements at -0.909 eV per atom.

***

No. 2
VASP calculation (PBE-GGA) on Tm3Ga8Rh3 after structural relaxation.

Unit cell a=4.183 b=9.910 c=12.184 alpha=90.00 beta=90.00 gamma=90.00
Space group Immm (No. 71)
One atom of each set of equivalent atoms:
1 Tm 0.000 0.000 0.000 (multiplicity 2)
2 Tm 0.000 0.000 0.329 (multiplicity 4)
3 Ga 0.000 0.286 0.126 (multiplicity 8)
4 Ga 0.000 0.373 0.336 (multiplicity 8)
5 Rh 0.000 0.213 0.500 (multiplicity 4)
6 Rh 0.000 0.500 0.000 (multiplicity 2)

Output
Its calculated volume is 505.1 Å³/cell. The calculation puts the calculated total energy at -69.411 eV/f.u. The spin magnetization is 0.000 μB per atom. The calculation puts the energy relative to the elements at -0.690 eV per atom.

***

No. 3
VASP calculation (PBE-GGA) on TmGaRh2 after structural relaxation.

Unit cell a=6.413 b=6.413 c=6.413 alpha=90.00 beta=90.00 gamma=90.00
Space group Fm-3m (No. 225)
One atom of each set of equivalent atoms:
1 Tm 0.000 0.000 0.000 (multiplicity 4)
2 Ga 0.000 0.000 0.500 (multiplicity 4)
3 Rh 0.250 0.250 0.250 (multiplicity 8)

Output
Its calculated volume is 263.7 Å³/cell. The calculation puts the calculated total energy at -25.766 eV/f.u. The calculation puts the energy relative to the elements at -0.883 eV per atom.

***

No. 4
VASP calculation (PBE-GGA) on UGa5Rh after structural relaxation.

Unit cell a=4.331 b=4.331 c=6.785 alpha=90.00 beta=90.00 gamma=90.00
Space group P4/mmm (No. 123)
One atom of each set of equivalent atoms:
1 U 0.000 0.000 0.000 (multiplicity 1)
2 Ga 0.000 0.500 0.298 (multiplicity 4)
3 Ga 0.500 0.500 0.000 (multiplicity 1)
4 Rh 0.000 0.000 0.500 (multiplicity 1)

Output
Its calculated volume is 127.3 Å³/cell. The calculation puts the calculated total energy at -36.916 eV/f.u. The calculation puts the energy relative to the elements at -0.446 eV per atom.

***

No. 5
VASP calculation (PBE-GGA) on U4Ga12Rh after structural relaxation.

Unit cell a=8.618 b=8.618 c=8.618 alpha=90.00 beta=90.00 gamma=90.00
Space group Im-3m (No. 229)
One atom of each set of equivalent atoms:
1 U 0.250 0.250 0.250 (multiplicity 8)
2 Ga 0.000 0.000 0.291 (multiplicity 12)
3 Ga 0.000 0.250 0.500 (multiplicity 12)
4 Rh 0.000 0.000 0.000 (multiplicity 2)

Output
Its calculated volume is 640.0 Å³/cell. The calculation puts the calculated total energy at -94.248 eV/f.u. The calculation puts the energy relative to the elements at -0.317 eV per atom.

***

No. 6
VASP calculation (PBE-GGA) on U2Ga9Rh3 after structural relaxation.

Unit cell a=13.176 b=7.655 c=9.485 alpha=90.00 beta=90.00 gamma=90.00
Space group Cmcm (No. 63)
One atom of each set of equivalent atoms:
1 U 0.164 0.166 0.250 (multiplicity 8)
2 Ga 0.000 0.127 0.750 (multiplicity 4)
3 Ga 0.000 0.333 0.065 (multiplicity 8)
4 Ga 0.103 0.442 0.750 (multiplicity 8)
5 Ga 0.167 0.168 0.578 (multiplicity 16)
6 Rh 0.000 0.000 0.000 (multiplicity 4)
7 Rh 0.171 0.500 0.000 (multiplicity 8)

Output
Its calculated volume is 956.7 Å³/cell. The calculation puts the calculated total energy at -78.522 eV/f.u. The spin magnetization is 0.334 μB per atom. The calculation puts the energy relative to the elements at -0.471 eV per atom.

***

No. 7
VASP calculation (PBE-GGA) on Y2Ga9Rh3 after structural relaxation.

Unit cell a=13.121 b=7.598 c=9.542 alpha=90.00 beta=90.00 gamma=90.00
Space group Cmcm (No. 63)
One atom of each set of equivalent atoms:
1 Y 0.167 0.167 0.250 (multiplicity 8)
2 Ga 0.000 0.119 0.750 (multiplicity 4)
3 Ga 0.000 0.331 0.063 (multiplicity 8)
4 Ga 0.103 0.444 0.750 (multiplicity 8)
5 Ga 0.167 0.168 0.579 (multiplicity 16)
6 Rh 0.000 0.000 0.000 (multiplicity 4)
7 Rh 0.171 0.500 0.000 (multiplicity 8)

Output
Its calculated volume is 951.2 Å³/cell. The calculation puts the calculated total energy at -72.267 eV/f.u. The calculation puts the energy relative to the elements at -0.713 eV per atom.

***

No. 8
VASP calculation (PBE-GGA) on Y3Ga8Rh3 after structural relaxation.

Unit cell a=4.223 b=9.856 c=12.352 alpha=90.00 beta=90.00 gamma=90.00
Space group Immm (No. 71)
One atom of each set of equivalent atoms:
1 Y 0.000 0.000 0.000 (multiplicity 2)
2 Y 0.000 0.000 0.327 (multiplicity 4)
3 Ga 0.000 0.284 0.123 (multiplicity 8)
4 Ga 0.000 0.370 0.333 (multiplicity 8)
5 Rh 0.000 0.220 0.500 (multiplicity 4)
6 Rh 0.000 0.500 0.000 (multiplicity 2)

Output
Its calculated volume is 514.1 Å³/cell. The calculation puts the calculated total energy at -75.669 eV/f.u. The spin magnetization is 0.000 μB per atom. The calculation puts the energy relative to the elements at -0.711 eV per atom.

***

No. 9
VASP calculation (PBE-GGA) on YGaRh after structural relaxation.

Unit cell a=6.812 b=4.364 c=7.753 alpha=90.00 beta=90.00 gamma=90.00
Space group Pnma (No. 62)
One atom of each set of equivalent atoms:
1 Y 0.019 0.250 0.195 (multiplicity 4)
2 Ga 0.166 0.250 0.574 (multiplicity 4)
3 Rh 0.226 0.750 0.399 (multiplicity 4)

Output
Its calculated volume is 230.5 Å³/cell. The calculation puts the calculated total energy at -19.529 eV/f.u. The calculation puts the energy relative to the elements at -0.890 eV per atom.

***

No. 10
VASP calculation (PBE-GGA) on ZnGaRh2 after structural relaxation.

Unit cell a=6.057 b=6.057 c=6.057 alpha=90.00 beta=90.00 gamma=90.00
Space group Fm-3m (No. 225)
One atom of each set of equivalent atoms:
1 Zn 0.000 0.000 0.000 (multiplicity 4)
2 Ga 0.000 0.000 0.500 (multiplicity 4)
3 Rh 0.250 0.250 0.250 (multiplicity 8)

Output
Its calculated volume is 222.2 Å³/cell. The calculation puts the calculated total energy at -21.481 eV/f.u. The calculation puts the energy relative to the elements at -0.616 eV per atom.

***

No. 11
VASP calculation (PBE-GGA) on ZrGaRh2 after structural relaxation.

Unit cell a=6.358 b=6.358 c=6.358 alpha=90.00 beta=90.00 gamma=90.00
Space group Fm-3m (No. 225)
One atom of each set of equivalent atoms:
1 Zr 0.000 0.000 0.000 (multiplicity 4)
2 Ga 0.000 0.000 0.500 (multiplicity 4)
3 Rh 0.250 0.250 0.250 (multiplicity 8)

Output
Its calculated volume is 257.0 Å³/cell. The calculation puts the calculated total energy at -29.632 eV/f.u. The calculation puts the energy relative to the elements at -0.832 eV per atom.

***

No. 12
VASP calculation (PBE-GGA) on Ga2Ru after structural relaxation.

Unit cell a=6.594 b=6.594 c=9.236 alpha=90.00 beta=90.00 gamma=90.00
Space group I4_1/amd (No. 141, origin choice 2)
One atom of each set of equivalent atoms:
1 Ga 0.000 0.035 0.270 (multiplicity 16)
2 Ru 0.000 0.000 0.000 (multiplicity 8)

Output
Its calculated volume is 401.6 Å³/cell. The calculation puts the calculated total energy at -15.354 eV/f.u. The spin magnetization is 0.000 μB per atom. The calculation puts the energy relative to the elements at -0.008 eV per atom.